(1)
Density functional theory data (PBE) for Te2W2SeS after structural relaxation.

a = 3.3963 Å, b = 3.3963 Å, c = 38.8268 Å
α = 90.00°, β = 90.00°, γ = 120.00°
With the nearest neighbours (Å) after each atom.
Element x y z (fractional)
Se: 0.3333 0.6667 0.1365  3 W 2.57
W: 0.0000 0.0000 0.0939  6 Se 2.56-2.57
S: 0.3333 0.6667 0.4308  3 W 2.47
Te: 0.0000 0.0000 0.2333  3 W 2.72
W: 0.3333 0.6667 0.2818  6 Te 2.72
W: 0.3333 0.6667 0.6576  6 Te 2.72
Se: 0.3333 0.6667 0.0513  3 W 2.56
Te: 0.0000 0.0000 0.7060  3 W 2.72
Te: 0.0000 0.0000 0.3303  3 W 2.72
W: 0.0000 0.0000 0.4697  6 S 2.47
Te: 0.0000 0.0000 0.6090  3 W 2.72
S: 0.3333 0.6667 0.5085  3 W 2.47

## Properties
spin magnetization = 0.00 μB per formula unit
energy above the lowest structure with this stoichiometry = 0.000 eV/atom

=====

(2)
Density functional theory data (PBE) for Mg16Al12Re after structural relaxation.

a = 9.4542 Å, b = 8.9246 Å, c = 8.9246 Å
α = 108.24°, β = 110.68°, γ = 110.68°
With the nearest neighbours (Å) after each atom.
Element x y z (fractional)
Mg: 0.5696 0.2593 0.0000  5 Al 2.95-3.17, 1 Re 2.96, 4 Mg 2.97-3.25
Mg: 0.0074 0.3598 0.0000  4 Mg 2.96-3.15, 6 Al 3.06-3.20
Re: 0.2695 0.0000 0.0000  4 Mg 2.67-2.96, 6 Al 2.74
Mg: 0.9872 0.0000 0.0000  1 Re 2.67
Mg: 0.6476 0.6402 0.6402  4 Mg 2.96-3.15, 6 Al 3.06-3.20
Mg: 0.6801 0.2742 0.6738  5 Al 2.86-3.10, 3 Mg 3.04-3.09
Al: 0.3674 0.3625 0.1823  3 Al 2.61-2.83, 1 Re 2.74, 1 Mg 2.86
Mg: 0.4058 0.7258 0.3995  5 Al 2.86-3.10, 3 Mg 3.04-3.09
Al: 0.8110 0.6115 0.0000  3 Al 2.67-2.83, 2 Mg 2.90
Al: 0.1851 0.8177 0.1802  3 Al 2.61-2.83, 1 Re 2.74, 1 Mg 2.86
Al: 0.3674 0.1823 0.3625  3 Al 2.61-2.83, 1 Re 2.74, 1 Mg 2.86
Al: 0.1995 0.3885 0.3885  3 Al 2.67-2.83, 2 Mg 2.90
Mg: 0.5696 0.0000 0.2593  5 Al 2.95-3.17, 1 Re 2.96, 4 Mg 2.97-3.25
Al: 0.1851 0.1802 0.8177  3 Al 2.61-2.83, 1 Re 2.74, 1 Mg 2.86
Al: 0.6527 0.8070 0.0000  3 Al 2.67-2.79, 2 Mg 2.95
Al: 0.8457 0.1930 0.1930  3 Al 2.67-2.79, 2 Mg 2.95
Mg: 0.3188 0.0000 0.5971  7 Mg 2.96-3.09, 5 Al 3.04-3.09
Al: 0.6527 0.0000 0.8070  3 Al 2.67-2.79, 2 Mg 2.95
Mg: 0.0063 0.3262 0.6005  5 Al 2.86-3.10, 3 Mg 3.04-3.09
Mg: 0.3188 0.5971 0.0000  7 Mg 2.96-3.09, 5 Al 3.04-3.09
Al: 0.0049 0.8198 0.6375  3 Al 2.61-2.83, 1 Re 2.74, 1 Mg 2.86
Mg: 0.7217 0.4029 0.4029  7 Mg 2.96-3.09, 5 Al 3.04-3.09
Mg: 0.6801 0.6738 0.2742  5 Al 2.86-3.10, 3 Mg 3.04-3.09
Mg: 0.0063 0.6005 0.3262  5 Al 2.86-3.10, 3 Mg 3.04-3.09
Mg: 0.4058 0.3995 0.7258  5 Al 2.86-3.10, 3 Mg 3.04-3.09
Al: 0.8110 0.0000 0.6115  3 Al 2.67-2.83, 2 Mg 2.90
Al: 0.0049 0.6375 0.8198  3 Al 2.61-2.83, 1 Re 2.74, 1 Mg 2.86
Mg: 0.3103 0.7407 0.7407  5 Al 2.95-3.17, 1 Re 2.96, 4 Mg 2.97-3.25
Mg: 0.0074 0.0000 0.3598  4 Mg 2.96-3.15, 6 Al 3.06-3.20

## Properties
spin magnetization = 0.15 μB per formula unit
final energy = -82.6 eV/cell

=====

(3)
Density functional theory data (PBE) for N after structural relaxation.

a = 5.8725 Å, b = 5.8725 Å, c = 5.8725 Å
α = 90.00°, β = 90.00°, γ = 90.00°
With the nearest neighbours (Å) after each atom.
Element x y z (fractional)
N: 0.0640 0.0640 0.0640  1 N 1.11
N: 0.9545 0.9545 0.9545  1 N 1.11
N: 0.5640 0.4360 0.9360  1 N 1.11
N: 0.0455 0.4545 0.5455  1 N 1.11
N: 0.4360 0.9360 0.5640  1 N 1.11
N: 0.5455 0.0455 0.4545  1 N 1.11
N: 0.9360 0.5640 0.4360  1 N 1.11
N: 0.4545 0.5455 0.0455  1 N 1.11

## Properties
energy above the lowest structure with this stoichiometry = 0.000 eV/atom
largest piezoelectric modulus = 0.0 C/m²

=====

(4)
Density functional theory data (PBE) for PrAgHg2 after structural relaxation.

a = 5.1595 Å, b = 5.1595 Å, c = 5.1595 Å
α = 60.00°, β = 60.00°, γ = 60.00°
With the nearest neighbours (Å) after each atom.
Element x y z (fractional)
Hg: 0.2500 0.2500 0.2500  4 Ag 3.16, 4 Pr 3.16
Ag: 0.5000 0.5000 0.5000  8 Hg 3.16
Pr: 0.0000 0.0000 0.0000  8 Hg 3.16
Hg: 0.7500 0.7500 0.7500  4 Pr 3.16, 4 Ag 3.16

## Properties
final energy = -9.7 eV/cell

=====

(5)
Density functional theory data (PBE) for Li3Ti2CuO6 after structural relaxation.

a = 6.7550 Å, b = 6.7550 Å, c = 6.0121 Å
α = 76.91°, β = 76.91°, γ = 25.23°
With the nearest neighbours (Å) after each atom.
Element x y z (fractional)
O: 0.8223 0.8223 0.6149  2 Ti 1.99, 3 Li 2.05-2.23
Li: 0.0000 0.0000 0.0000  6 O 2.06-2.21
Li: 0.6633 0.6633 0.6682  6 O 2.05-2.24
Ti: 0.6553 0.6553 0.1792  5 O 1.85-2.03
O: 0.1716 0.1716 0.9418  3 Ti 2.03-2.23, 3 Li 2.21-2.23
O: 0.1777 0.1777 0.3851  2 Ti 1.99, 3 Li 2.05-2.23
Ti: 0.3447 0.3447 0.8208  5 O 1.85-2.03
O: 0.8284 0.8284 0.0582  3 Ti 2.03-2.23, 3 Li 2.21-2.23
Cu: 0.0000 0.0000 0.5000  6 O 2.16-2.28
Li: 0.3367 0.3367 0.3318  6 O 2.05-2.24
O: 0.4883 0.4883 0.7683  1 Ti 1.85, 2 Li 2.06
O: 0.5117 0.5117 0.2317  1 Ti 1.85, 2 Li 2.06

## Properties
spin magnetization = 0.00 μB per formula unit
final energy = -83.0 eV/cell

=====

(6)
Density functional theory data (PBE) for PtF6 after structural relaxation.

a = 5.0627 Å, b = 8.7658 Å, c = 9.5869 Å
α = 90.00°, β = 90.00°, γ = 90.00°
With the nearest neighbours (Å) after each atom.
Element x y z (fractional)
F: 0.2510 0.0969 0.0139  1 Pt 1.90
Pt: 0.4074 0.2500 0.6262  6 F 1.90
F: 0.7080 0.2500 0.5081  1 Pt 1.90
F: 0.0649 0.9028 0.7611  1 Pt 1.90
F: 0.2080 0.7500 0.9919  1 Pt 1.90
F: 0.2490 0.0969 0.5139  1 Pt 1.90
F: 0.3944 0.2500 0.2440  1 Pt 1.90
F: 0.5649 0.0972 0.7389  1 Pt 1.90
F: 0.0649 0.5972 0.7611  1 Pt 1.90
F: 0.7920 0.2500 0.0081  1 Pt 1.90
F: 0.1056 0.2500 0.7440  1 Pt 1.90
F: 0.4351 0.5972 0.2611  1 Pt 1.90
F: 0.9351 0.0972 0.2389  1 Pt 1.90
F: 0.2920 0.7500 0.4919  1 Pt 1.90
F: 0.8944 0.7500 0.2560  1 Pt 1.90
F: 0.2510 0.4031 0.0139  1 Pt 1.90
F: 0.7490 0.9031 0.9861  1 Pt 1.90
F: 0.7510 0.5969 0.4861  1 Pt 1.90
Pt: 0.9074 0.7500 0.8738  6 F 1.90
F: 0.5649 0.4028 0.7389  1 Pt 1.90
F: 0.9351 0.4028 0.2389  1 Pt 1.90
Pt: 0.0926 0.2500 0.1262  6 F 1.90
F: 0.7490 0.5969 0.9861  1 Pt 1.90
F: 0.7510 0.9031 0.4861  1 Pt 1.90
F: 0.4351 0.9028 0.2611  1 Pt 1.90
F: 0.6056 0.7500 0.7560  1 Pt 1.90
F: 0.2490 0.4031 0.5139  1 Pt 1.90
Pt: 0.5926 0.7500 0.3738  6 F 1.90

## Properties
final energy = -99.9 eV/cell